(1)
The following is a DFT calculation (GGA+U) of a relaxed structure of Ba3MgV2O8.

Calculated values
ρ ... 4566 kg/m3

a b c (Å): 6.176 6.179 7.888
angles (deg): 112.81 93.69 114.87
Atoms (fractional coordinates):
Ba 0.000 0.000 0.000
Ba 0.046 0.226 0.587
Ba 0.406 0.769 0.176
Mg 0.527 0.709 0.589
V 0.588 0.193 0.831
V 0.766 0.525 0.345
O 0.381 0.321 0.893
O 0.420 0.407 0.329
O 0.487 0.864 0.849
O 0.541 0.020 0.565
O 0.833 0.256 0.282
O 0.862 0.745 0.611
O 0.874 0.771 0.260
O 0.919 0.385 0.914

(2)
The following is a DFT calculation (GGA+U) of a relaxed structure of Ba3MgV2O8.

Calculated values
ρ ... 4821 kg/m3

a b c (Å): 8.312 8.312 8.312
angles (deg): 41.67 41.67 41.67
Atoms (fractional coordinates):
Ba 0.000 0.000 0.000
Ba 0.204 0.204 0.204
Ba 0.796 0.796 0.796
Mg 0.500 0.500 0.500
V 0.393 0.393 0.393
V 0.607 0.607 0.607
O 0.256 0.717 0.717
O 0.283 0.283 0.744
O 0.283 0.744 0.283
O 0.316 0.316 0.316
O 0.684 0.684 0.684
O 0.717 0.256 0.717
O 0.717 0.717 0.256
O 0.744 0.283 0.283

Last place for stability: (2)

(1)
The following is a DFT calculation (GGA+U) of a relaxed structure of Ba3MgWO6.

Calculated values
ρ ... 5516 kg/m3

a b c (Å): 6.048 6.048 7.634
angles (deg): 113.13 113.13 60.02
Atoms (fractional coordinates):
Ba 0.000 0.000 0.000
Ba 0.588 0.588 0.761
Ba 0.791 0.791 0.374
Mg 0.176 0.176 0.525
W 0.310 0.310 0.927
O 0.039 0.514 0.064
O 0.095 0.095 0.727
O 0.095 0.540 0.725
O 0.513 0.513 0.064
O 0.514 0.039 0.064
O 0.540 0.095 0.725

(2)
The following is a DFT calculation (GGA+U) of a relaxed structure of Ba3MgWO6.

Calculated values
ρ ... 5910 kg/m3

a b c (Å): 6.699 6.699 6.699
angles (deg): 124.04 122.37 84.54
Atoms (fractional coordinates):
Ba 0.000 0.000 0.000
Ba 0.189 0.689 0.500
Ba 0.811 0.311 0.500
Mg 0.500 0.000 0.500
W 0.500 0.500 0.000
O 0.286 0.286 0.000
O 0.292 0.250 0.542
O 0.292 0.750 0.042
O 0.708 0.250 0.958
O 0.708 0.750 0.458
O 0.714 0.714 0.000

(3)
The following is a DFT calculation (GGA+U) of a relaxed structure of Ba3MgWO6.

Calculated values
ρ ... 5760 kg/m3

a b c (Å): 7.183 7.183 7.183
angles (deg): 51.00 51.00 51.00
Atoms (fractional coordinates):
Ba 0.000 0.000 0.000
Ba 0.192 0.192 0.192
Ba 0.655 0.655 0.655
Mg 0.837 0.837 0.837
W 0.476 0.476 0.476
O 0.229 0.709 0.709
O 0.267 0.267 0.733
O 0.267 0.733 0.267
O 0.709 0.229 0.709
O 0.709 0.709 0.229
O 0.733 0.267 0.267

Last place for stability: (2)